First-principles (meta-GGA r2SCAN) data for Rb3Au7 after structural relaxation, as listed in the Materials Project.

It has space group Cmmm (No. 65), with a = 5.642 Å, b = 13.489 Å, c = 7.268 Å, α = 90.00°, β = 90.00° and γ = 90.00°. The inequivalent atoms are Rb at (0.000, 0.000, 0.000), Rb at (0.000, 0.163, 0.500), Au at (0.000, 0.392, 0.196), Au at (0.000, 0.500, 0.500) and Au at (0.250, 0.250, 0.000).

The calculation puts the spin magnetization at 0.00 μB/f.u. The value obtained for the theoretical density is 9.819 g/cm³. As for the crystal system: orthorhombic. The calculation puts the formation energy at -0.32 eV/atom.


First-principles (meta-GGA r2SCAN) data for RbAu after structural relaxation, as listed in the Materials Project.

It has space group Pm-3m (No. 221), with a = 4.105 Å, b = 4.105 Å, c = 4.105 Å, α = 90.00°, β = 90.00° and γ = 90.00°. The inequivalent atoms are Rb at (0.000, 0.000, 0.000) and Au at (0.500, 0.500, 0.500).

The calculation puts the spin magnetization at 0.00 μB/f.u. The value obtained for the theoretical density is 6.782 g/cm³. As for the crystal system: cubic. The calculation puts the formation energy at -0.31 eV/atom.


First-principles (meta-GGA r2SCAN) data for Rb3Sb2Au3 after structural relaxation, as listed in the Materials Project.

It has space group R-3m (No. 166, hexagonal axes), with a = 6.5302 Å, b = 6.5302 Å, c = 21.9296 Å, α = 90.00°, β = 90.00° and γ = 120.00°. The inequivalent atoms are Rb at (0.0000, 0.0000, 0.0000), Rb at (0.0000, 0.0000, 0.4194), Sb at (0.0000, 0.0000, 0.2528) and Au at (0.0000, 0.5000, 0.5000).

The calculation puts the spin magnetization at 0.00 μB/f.u. The value obtained for the theoretical density is 6.710 g/cm³. As for the crystal system: trigonal. The calculation puts the formation energy at -0.55 eV/atom.


First-principles (meta-GGA r2SCAN) data for RbAuSe after structural relaxation, as listed in the Materials Project.

It has space group Cmcm (No. 63), with a = 6.838 Å, b = 8.380 Å, c = 6.909 Å, α = 90.00°, β = 90.00° and γ = 90.00°. The inequivalent atoms are Rb at (0.000, 0.134, 0.250), Au at (0.000, 0.500, 0.000) and Se at (0.000, 0.295, 0.750).

The calculation puts the spin magnetization at 0.00 μB/f.u. The value obtained for the theoretical density is 6.062 g/cm³. As for the crystal system: orthorhombic. The calculation puts the formation energy at -0.86 eV/atom.


Question: Look up the spin magnetization of the third one.
Answer: 0.00 μB/f.u.